# Si2Bi13Sb2O28, relaxed, DFT GGA-PBE
# distance to the lowest polymorph of the same formula	0.0000	eV/atom
# total DFT energy (no corrections)	-5.987	eV per atom
# energy with MP2020 corrections	-288.63	eV per cell
# total magnetic moment	1.00	μB/cell
data_Si2Bi13Sb2O28
_chemical_formula_sum 'Si2 Bi13 Sb2 O28'
_cell_length_a 6.128
_cell_length_b 10.349
_cell_length_c 12.615
_cell_angle_alpha 88.40
_cell_angle_beta 83.42
_cell_angle_gamma 83.94
_space_group_name_H-M_alt 'P 1'
_space_group_IT_number 1
loop_
_space_group_symop_operation_xyz
'x,y,z'
loop_
_atom_site_label
_atom_site_fract_x
_atom_site_fract_y
_atom_site_fract_z
_atom_site_occupancy
Si1 0.000 0.000 0.000 1
Si2 0.475 0.322 0.013 1
Bi1 0.026 0.580 0.464 1
Bi2 0.066 0.025 0.676 1
Bi3 0.074 0.300 0.856 1
Bi4 0.190 0.655 0.157 1
Bi5 0.285 0.668 0.855 1
Bi6 0.401 0.023 0.157 1
Bi7 0.410 0.298 0.337 1
Bi8 0.449 0.742 0.547 1
Bi9 0.531 0.006 0.867 1
Bi10 0.653 0.022 0.441 1
Bi11 0.738 0.661 0.006 1
Bi12 0.824 0.300 0.571 1
Bi13 0.944 0.316 0.146 1
Sb1 0.645 0.662 0.286 1
Sb2 0.831 0.661 0.726 1
O1 0.050 0.078 0.107 1
O2 0.061 0.089 0.891 1
O3 0.066 0.371 0.449 1
O4 0.082 0.236 0.695 1
O5 0.097 0.763 0.731 1
O6 0.157 0.861 0.992 1
O7 0.317 0.461 0.021 1
O8 0.378 0.560 0.281 1
O9 0.393 0.087 0.317 1
O10 0.410 0.951 0.563 1
O11 0.414 0.233 0.122 1
O12 0.424 0.244 0.905 1
O13 0.498 0.803 0.379 1
O14 0.521 0.762 0.159 1
O15 0.536 0.223 0.482 1
O16 0.537 0.589 0.727 1
O17 0.642 0.782 0.843 1
O18 0.695 0.562 0.424 1
O19 0.715 0.066 0.733 1
O20 0.730 0.986 0.008 1
O21 0.745 0.337 0.005 1
O22 0.761 0.256 0.279 1
O23 0.781 0.761 0.588 1
O24 0.835 0.541 0.169 1
O25 0.939 0.734 0.285 1
O26 0.940 0.100 0.531 1
O27 0.955 0.561 0.853 1
O28 0.978 0.519 0.633 1